1.
A plane-wave DFT calculation with meta-GGA r2SCAN was carried out for SbSeCl9 after structural relaxation.

## Properties
total energy = -9.2525 eV per atom
crystal system = monoclinic
energy of formation from the pure elements = -0.581 eV/atom

Cell: 9.4925 10.9459 12.7257 Å, 90.00 103.23 90.00°
Space group P2_1/m (No. 11)
Symmetry-distinct sites (fractional):
Sb (0.0228, 0.2500, 0.3786) (multiplicity 2)
Sb (0.3328, 0.7500, 0.1694) (multiplicity 2)
Se (0.0645, 0.2500, 0.8822) (multiplicity 2)
Se (0.3723, 0.7500, 0.6802) (multiplicity 2)
Cl (0.1340, 0.7500, 0.4936) (multiplicity 2)
Cl (0.1422, 0.5968, 0.7227) (multiplicity 4)
Cl (0.1525, 0.2500, 0.2413) (multiplicity 2)
Cl (0.1597, 0.7500, 0.9949) (multiplicity 2)
Cl (0.1647, 0.0947, 0.4769) (multiplicity 4)
Cl (0.1692, 0.2500, 0.7491) (multiplicity 2)
Cl (0.1787, 0.0999, 0.9742) (multiplicity 4)
Cl (0.1812, 0.5962, 0.2265) (multiplicity 4)
Cl (0.4645, 0.5941, 0.1061) (multiplicity 4)
Cl (0.4818, 0.5995, 0.6232) (multiplicity 4)
Cl (0.4884, 0.7500, 0.8478) (multiplicity 2)
Cl (0.4889, 0.7500, 0.3422) (multiplicity 2)

***

2.
A plane-wave DFT calculation with meta-GGA r2SCAN was carried out for CoSi after structural relaxation.

## Properties
total energy = -11.4969 eV per atom
crystal system = cubic
energy of formation from the pure elements = -0.493 eV/atom

Cell: 4.3831 4.3831 4.3831 Å, 90.00 90.00 90.00°
Space group P2_13 (No. 198)
Symmetry-distinct sites (fractional):
Co (0.1459, 0.1459, 0.1459) (multiplicity 4)
Si (0.1565, 0.3435, 0.6565) (multiplicity 4)

***

3.
A plane-wave DFT calculation with meta-GGA r2SCAN was carried out for AcN after structural relaxation.

## Properties
total energy = -40.2057 eV per atom
crystal system = hexagonal
energy of formation from the pure elements = -1.323 eV/atom

Cell: 4.2803 4.2803 6.2951 Å, 90.00 90.00 120.00°
Space group P6_3mc (No. 186)
Symmetry-distinct sites (fractional):
Ac (0.3333, 0.6667, 0.0000) (multiplicity 2)
N (0.3333, 0.6667, 0.4052) (multiplicity 2)

***

4.
A plane-wave DFT calculation with meta-GGA r2SCAN was carried out for Nd2Ni2Sn after structural relaxation.

## Properties
total energy = -22.0312 eV per atom
crystal system = orthorhombic
energy of formation from the pure elements = -0.522 eV/atom

Cell: 4.3513 5.7098 8.5682 Å, 90.00 90.00 90.00°
Space group Immm (No. 71)
Symmetry-distinct sites (fractional):
Nd (0.0000, 0.0000, 0.2027) (multiplicity 4)
Ni (0.0000, 0.2894, 0.5000) (multiplicity 4)
Sn (0.0000, 0.5000, 0.0000) (multiplicity 2)

***

5.
A plane-wave DFT calculation with meta-GGA r2SCAN was carried out for Ba2N after structural relaxation.

## Properties
total energy = -21.2155 eV per atom
crystal system = trigonal
energy of formation from the pure elements = -0.506 eV/atom

Cell: 4.0456 4.0456 23.0249 Å, 90.00 90.00 120.00°
Space group R-3m (No. 166, hexagonal axes)
Symmetry-distinct sites (fractional):
Ba (0.0000, 0.0000, 0.2319) (multiplicity 6)
N (0.0000, 0.0000, 0.5000) (multiplicity 3)

***

6.
A plane-wave DFT calculation with meta-GGA r2SCAN was carried out for TbAl3C3 after structural relaxation.

## Properties
total energy = -12.0474 eV per atom
crystal system = hexagonal
energy of formation from the pure elements = -0.438 eV/atom

Cell: 3.4231 3.4231 17.3105 Å, 90.00 90.00 120.00°
Space group P6_3/mmc (No. 194)
Symmetry-distinct sites (fractional):
Tb (0.0000, 0.0000, 0.0000) (multiplicity 2)
Al (0.3333, 0.6667, 0.1346) (multiplicity 4)
Al (0.3333, 0.6667, 0.7500) (multiplicity 2)
C (0.3333, 0.6667, 0.2500) (multiplicity 2)
C (0.3333, 0.6667, 0.5941) (multiplicity 4)